No. 1
! EuZrO3 | the Materials Project | PBE | optimized geometry; values from VASP
! - VASP energy: -9.964 eV per atom
! - Total energy after the MP2020 corrections: -51.881 eV per formula unit
! - Crystal system: orthorhombic
! - Space group: Pnma
! - Energy of formation from the pure elements: -3.646 eV/atom
&SYSTEM
  ibrav = 0, nat = 20, ntyp = 3
/
ATOMIC_SPECIES
O 16.00 O.upf
Zr 91.22 Zr.upf
Eu 151.96 Eu.upf
CELL_PARAMETERS angstrom
-2.128 -4.920 2.200
-2.249 3.011 4.558
-6.996 1.144 -4.208
ATOMIC_POSITIONS crystal
O 0.407 0.528 0.750
O 0.093 0.028 0.750
O 0.593 0.472 0.250
O 0.291 0.789 0.050
O 0.791 0.711 0.950
O 0.907 0.972 0.250
O 0.709 0.211 0.950
O 0.291 0.789 0.450
O 0.209 0.289 0.050
O 0.791 0.711 0.550
O 0.709 0.211 0.550
O 0.209 0.289 0.450
Zr 0.500 0.500 0.000
Zr 0.500 0.500 0.500
Zr 0.000 0.000 0.000
Zr 0.000 0.000 0.500
Eu 0.987 0.456 0.750
Eu 0.013 0.544 0.250
Eu 0.487 0.044 0.250
Eu 0.513 0.956 0.750


No. 2
! NaMg6Zn | the Materials Project | PBE | optimized geometry; values from VASP
! - VASP energy: -1.475 eV per atom
! - Energy of formation from the pure elements: 0.048 eV/atom
&SYSTEM
  ibrav = 0, nat = 16, ntyp = 3
/
ATOMIC_SPECIES
Mg 24.30 Mg.upf
Zn 65.41 Zn.upf
Na 22.99 Na.upf
CELL_PARAMETERS angstrom
5.182 0.000 0.000
0.000 6.346 0.000
0.000 0.000 11.056
ATOMIC_POSITIONS crystal
Mg 0.000 0.745 0.584
Mg 0.000 0.500 0.335
Mg 0.000 0.000 0.332
Mg 0.000 0.500 0.832
Mg 0.000 0.755 0.084
Mg 0.000 0.255 0.584
Mg 0.000 0.245 0.084
Mg 0.500 0.249 0.917
Mg 0.000 0.000 0.835
Mg 0.500 0.749 0.417
Mg 0.500 0.751 0.917
Mg 0.500 0.251 0.417
Zn 0.500 0.000 0.166
Zn 0.500 0.500 0.666
Na 0.500 0.000 0.667
Na 0.500 0.500 0.167


Number 1: mass density 6.85 g/cm³. Number 2: mass density 2.14 g/cm³.